a) {"formula": "Ba2La6Mg4Ti3WO24", "functional": "PBE with a Hubbard U", "state": "relaxed", "spacegroup": "C2/m, No. 12", "rho_g_cm3": 5.69, "vol_a3_per_atom": 13.99, "lattice_angstrom": [[5.2064, -2.8041, 0.0000], [5.2064, 2.8041, 0.0000], [-4.7582, 0.0000, 38.3276]], "species": ["Ba", "Ba", "Ba", "Ba", "La", "La", "La", "La", "La", "La", "La", "La", "La", "La", "La", "La", "Mg", "Mg", "Mg", "Mg", "Mg", "Mg", "Mg", "Mg", "Ti", "Ti", "Ti", "Ti", "Ti", "Ti", "W", "W", "O", "O", "O", "O", "O", "O", "O", "O", "O", "O", "O", "O", "O", "O", "O", "O", "O", "O", "O", "O", "O", "O", "O", "O", "O", "O", "O", "O", "O", "O", "O", "O", "O", "O", "O", "O", "O", "O", "O", "O", "O", "O", "O", "O", "O", "O", "O", "O"], "fractional_positions": [[0.0095, 0.0095, 0.4067], [0.3422, 0.3422, 0.4691], [0.6578, 0.6578, 0.5309], [0.9905, 0.9905, 0.5933], [0.0741, 0.0741, 0.1516], [0.1325, 0.1325, 0.7176], [0.2265, 0.2265, 0.0380], [0.3477, 0.3477, 0.9141], [0.3786, 0.3786, 0.3590], [0.4940, 0.4940, 0.2076], [0.5060, 0.5060, 0.7924], [0.6214, 0.6214, 0.6410], [0.6523, 0.6523, 0.0859], [0.7735, 0.7735, 0.9620], [0.8675, 0.8675, 0.2824], [0.9259, 0.9259, 0.8484], [0.0000, 0.0000, 0.5000], [0.1333, 0.1333, 0.3128], [0.1850, 0.1850, 0.2397], [0.3875, 0.3875, 0.1225], [0.5000, 0.5000, 0.0000], [0.6125, 0.6125, 0.8775], [0.8150, 0.8150, 0.7603], [0.8667, 0.8667, 0.6872], [0.0650, 0.0650, 0.9417], [0.2030, 0.2030, 0.8138], [0.4027, 0.4027, 0.6953], [0.5973, 0.5973, 0.3047], [0.7970, 0.7970, 0.1862], [0.9350, 0.9350, 0.0583], [0.3228, 0.3228, 0.5626], [0.6772, 0.6772, 0.4374], [0.0135, 0.5064, 0.5899], [0.0529, 0.5756, 0.7205], [0.0707, 0.0707, 0.7766], [0.0759, 0.5682, 0.7971], [0.0981, 0.6061, 0.0841], [0.1101, 0.1101, 0.0960], [0.1188, 0.6327, 0.1610], [0.1681, 0.1681, 0.5306], [0.1689, 0.6501, 0.5344], [0.2114, 0.7102, 0.9625], [0.2134, 0.2134, 0.9763], [0.2285, 0.7291, 0.6683], [0.2320, 0.2320, 0.6661], [0.2709, 0.7715, 0.3317], [0.2898, 0.7886, 0.0375], [0.3499, 0.8311, 0.4656], [0.3673, 0.8812, 0.8390], [0.3939, 0.9019, 0.9159], [0.4126, 0.4126, 0.8606], [0.4244, 0.9471, 0.2795], [0.4318, 0.9241, 0.2029], [0.4523, 0.4523, 0.2677], [0.4936, 0.9865, 0.4101], [0.4950, 0.4950, 0.5942], [0.5050, 0.5050, 0.4058], [0.5064, 0.0135, 0.5899], [0.5477, 0.5477, 0.7323], [0.5682, 0.0759, 0.7971], [0.5756, 0.0529, 0.7205], [0.5874, 0.5874, 0.1394], [0.6061, 0.0981, 0.0841], [0.6327, 0.1188, 0.1610], [0.6501, 0.1689, 0.5344], [0.7102, 0.2114, 0.9625], [0.7291, 0.2285, 0.6683], [0.7680, 0.7680, 0.3339], [0.7715, 0.2709, 0.3317], [0.7866, 0.7866, 0.0237], [0.7886, 0.2898, 0.0375], [0.8311, 0.3499, 0.4656], [0.8319, 0.8319, 0.4694], [0.8812, 0.3673, 0.8390], [0.8899, 0.8899, 0.9040], [0.9019, 0.3939, 0.9159], [0.9241, 0.4318, 0.2029], [0.9293, 0.9293, 0.2234], [0.9471, 0.4244, 0.2795], [0.9865, 0.4936, 0.4101]]}

***

b) {"formula": "Ba2La6Mg4Ti3WO24", "functional": "PBE with a Hubbard U", "state": "relaxed", "spacegroup": "C2/m, No. 12", "rho_g_cm3": 5.82, "vol_a3_per_atom": 13.66, "lattice_angstrom": [[5.1827, -2.7922, 0.0000], [5.1827, 2.7922, 0.0000], [-0.2367, 0.0000, 37.7634]], "species": ["Ba", "Ba", "Ba", "Ba", "La", "La", "La", "La", "La", "La", "La", "La", "La", "La", "La", "La", "Mg", "Mg", "Mg", "Mg", "Mg", "Mg", "Mg", "Mg", "Ti", "Ti", "Ti", "Ti", "Ti", "Ti", "W", "W", "O", "O", "O", "O", "O", "O", "O", "O", "O", "O", "O", "O", "O", "O", "O", "O", "O", "O", "O", "O", "O", "O", "O", "O", "O", "O", "O", "O", "O", "O", "O", "O", "O", "O", "O", "O", "O", "O", "O", "O", "O", "O", "O", "O", "O", "O", "O", "O"], "fractional_positions": [[0.0112, 0.0112, 0.4064], [0.3391, 0.3391, 0.4687], [0.6609, 0.6609, 0.5313], [0.9888, 0.9888, 0.5936], [0.0838, 0.0838, 0.1526], [0.1073, 0.1073, 0.7166], [0.2296, 0.2296, 0.0374], [0.3526, 0.3526, 0.9158], [0.3826, 0.3826, 0.3614], [0.4947, 0.4947, 0.2049], [0.5053, 0.5053, 0.7951], [0.6174, 0.6174, 0.6386], [0.6474, 0.6474, 0.0842], [0.7704, 0.7704, 0.9626], [0.8927, 0.8927, 0.2834], [0.9162, 0.9162, 0.8474], [0.0000, 0.0000, 0.5000], [0.1519, 0.1519, 0.3138], [0.1941, 0.1941, 0.2389], [0.3801, 0.3801, 0.1212], [0.5000, 0.5000, 0.0000], [0.6199, 0.6199, 0.8788], [0.8059, 0.8059, 0.7611], [0.8481, 0.8481, 0.6862], [0.0658, 0.0658, 0.9424], [0.2019, 0.2019, 0.8154], [0.3893, 0.3893, 0.6973], [0.6107, 0.6107, 0.3027], [0.7981, 0.7981, 0.1846], [0.9342, 0.9342, 0.0576], [0.3238, 0.3238, 0.5636], [0.6762, 0.6762, 0.4364], [0.0086, 0.5007, 0.5920], [0.0300, 0.5544, 0.7215], [0.0717, 0.5685, 0.7975], [0.0728, 0.0728, 0.7801], [0.0927, 0.5933, 0.0840], [0.0985, 0.0985, 0.0935], [0.1327, 0.6440, 0.1588], [0.1721, 0.6560, 0.5337], [0.1762, 0.1762, 0.5325], [0.2080, 0.7068, 0.9641], [0.2096, 0.2096, 0.9748], [0.2178, 0.7199, 0.6673], [0.2249, 0.2249, 0.6670], [0.2801, 0.7822, 0.3327], [0.2932, 0.7920, 0.0359], [0.3440, 0.8279, 0.4663], [0.3560, 0.8673, 0.8412], [0.3885, 0.3885, 0.8574], [0.4067, 0.9073, 0.9160], [0.4315, 0.9283, 0.2025], [0.4456, 0.9700, 0.2785], [0.4754, 0.4754, 0.2685], [0.4907, 0.4907, 0.5926], [0.4993, 0.9914, 0.4080], [0.5007, 0.0086, 0.5920], [0.5093, 0.5093, 0.4074], [0.5246, 0.5246, 0.7315], [0.5544, 0.0300, 0.7215], [0.5685, 0.0717, 0.7975], [0.5933, 0.0927, 0.0840], [0.6115, 0.6115, 0.1426], [0.6440, 0.1327, 0.1588], [0.6560, 0.1721, 0.5337], [0.7068, 0.2080, 0.9641], [0.7199, 0.2178, 0.6673], [0.7751, 0.7751, 0.3330], [0.7822, 0.2801, 0.3327], [0.7904, 0.7904, 0.0252], [0.7920, 0.2932, 0.0359], [0.8238, 0.8238, 0.4675], [0.8279, 0.3440, 0.4663], [0.8673, 0.3560, 0.8412], [0.9015, 0.9015, 0.9065], [0.9073, 0.4067, 0.9160], [0.9272, 0.9272, 0.2199], [0.9283, 0.4315, 0.2025], [0.9700, 0.4456, 0.2785], [0.9914, 0.4993, 0.4080]]}

***

Stability ranking, top entry: a); the second entry is 0.207 eV/atom less favorable.

***

a) {"formula": "BaNaLaMnO6", "functional": "PBE with a Hubbard U", "state": "relaxed", "spacegroup": "F-43m, No. 216", "rho_g_cm3": 4.84, "vol_a3_per_atom": 15.44, "lattice_angstrom": [[0.0000, 4.2578, 4.2578], [4.2578, 0.0000, 4.2578], [4.2578, 4.2578, 0.0000]], "species": ["Ba", "Na", "La", "Mn", "O", "O", "O", "O", "O", "O"], "fractional_positions": [[0.0000, 0.0000, 0.0000], [0.5000, 0.5000, 0.5000], [0.2500, 0.2500, 0.2500], [0.7500, 0.7500, 0.7500], [0.5252, 0.5252, 0.9748], [0.5252, 0.9748, 0.5252], [0.5252, 0.9748, 0.9748], [0.9748, 0.5252, 0.5252], [0.9748, 0.5252, 0.9748], [0.9748, 0.9748, 0.5252]]}

***

b) {"formula": "BaNaLaMnO6", "functional": "PBE with a Hubbard U", "state": "relaxed", "spacegroup": "Pnnn, No. 48", "rho_g_cm3": 4.89, "vol_a3_per_atom": 15.28, "lattice_angstrom": [[8.4423, 0.0000, 0.0000], [0.0000, 8.5043, 0.0000], [0.0000, 0.0000, 8.5148]], "species": ["Ba", "Ba", "Ba", "Ba", "Na", "Na", "Na", "Na", "La", "La", "La", "La", "Mn", "Mn", "Mn", "Mn", "O", "O", "O", "O", "O", "O", "O", "O", "O", "O", "O", "O", "O", "O", "O", "O", "O", "O", "O", "O", "O", "O", "O", "O"], "fractional_positions": [[0.2500, 0.2500, 0.2500], [0.2500, 0.7500, 0.2500], [0.7500, 0.2500, 0.7500], [0.7500, 0.7500, 0.7500], [0.2500, 0.2500, 0.7500], [0.2500, 0.7500, 0.7500], [0.7500, 0.2500, 0.2500], [0.7500, 0.7500, 0.2500], [0.0000, 0.0000, 0.0000], [0.0000, 0.5000, 0.5000], [0.5000, 0.0000, 0.5000], [0.5000, 0.5000, 0.0000], [0.0000, 0.0000, 0.5000], [0.0000, 0.5000, 0.0000], [0.5000, 0.0000, 0.0000], [0.5000, 0.5000, 0.5000], [0.0195, 0.0299, 0.7230], [0.0195, 0.4701, 0.7770], [0.0278, 0.7239, 0.9729], [0.0278, 0.7761, 0.5271], [0.2244, 0.0199, 0.4696], [0.2244, 0.4801, 0.0304], [0.2756, 0.0199, 0.0304], [0.2756, 0.4801, 0.4696], [0.4722, 0.7239, 0.5271], [0.4722, 0.7761, 0.9729], [0.4805, 0.0299, 0.7770], [0.4805, 0.4701, 0.7230], [0.5195, 0.5299, 0.2770], [0.5195, 0.9701, 0.2230], [0.5278, 0.2239, 0.0271], [0.5278, 0.2761, 0.4729], [0.7244, 0.5199, 0.5304], [0.7244, 0.9801, 0.9696], [0.7756, 0.5199, 0.9696], [0.7756, 0.9801, 0.5304], [0.9722, 0.2239, 0.4729], [0.9722, 0.2761, 0.0271], [0.9805, 0.5299, 0.2230], [0.9805, 0.9701, 0.2770]]}

***

Stability ranking, top entry: a); the second entry is 0.009 eV/atom less favorable.

***

a) {"formula": "BaLa3Mn4O12", "functional": "PBE with a Hubbard U", "state": "relaxed", "spacegroup": "P1, No. 1", "rho_g_cm3": 6.42, "vol_a3_per_atom": 12.50, "lattice_angstrom": [[5.5899, 0.0000, 0.0000], [0.0296, 5.6652, 0.0000], [0.0823, 0.0198, 7.8943]], "species": ["Ba", "La", "La", "La", "Mn", "Mn", "Mn", "Mn", "O", "O", "O", "O", "O", "O", "O", "O", "O", "O", "O", "O"], "fractional_positions": [[0.0000, 0.0000, 0.0000], [0.0042, 0.0012, 0.4990], [0.5001, 0.4976, 0.0023], [0.5069, 0.4949, 0.5020], [0.0023, 0.4958, 0.2515], [0.0032, 0.5012, 0.7502], [0.5017, 0.9989, 0.2540], [0.5019, 0.9992, 0.7483], [0.0002, 0.4354, 0.4901], [0.0007, 0.5317, 0.0114], [0.2392, 0.7900, 0.7085], [0.2431, 0.2199, 0.2343], [0.2804, 0.3050, 0.7707], [0.2903, 0.7340, 0.2909], [0.5030, 0.9249, 0.0121], [0.5053, 0.0655, 0.4914], [0.7034, 0.2749, 0.2225], [0.7362, 0.7091, 0.7197], [0.7556, 0.2187, 0.7604], [0.7698, 0.7837, 0.2953]]}

***

b) {"formula": "BaLa3Mn4O12", "functional": "PBE with a Hubbard U", "state": "relaxed", "spacegroup": "C2/m, No. 12", "rho_g_cm3": 6.51, "vol_a3_per_atom": 12.33, "lattice_angstrom": [[4.0062, -5.5639, 0.0000], [4.0062, 5.5639, 0.0000], [-4.0047, 0.0000, 5.5300]], "species": ["Ba", "La", "La", "La", "Mn", "Mn", "Mn", "Mn", "O", "O", "O", "O", "O", "O", "O", "O", "O", "O", "O", "O"], "fractional_positions": [[0.0000, 0.0000, 0.0000], [0.0000, 0.5000, 0.5000], [0.5000, 0.0000, 0.5000], [0.5000, 0.5000, 0.0000], [0.0000, 0.0000, 0.5000], [0.0000, 0.5000, 0.0000], [0.5000, 0.0000, 0.0000], [0.5000, 0.5000, 0.5000], [0.0017, 0.7331, 0.2482], [0.2474, 0.2474, 0.5157], [0.2558, 0.7442, 0.0000], [0.2605, 0.5137, 0.2575], [0.2669, 0.9983, 0.7518], [0.4863, 0.7395, 0.7425], [0.5137, 0.2605, 0.2575], [0.7331, 0.0017, 0.2482], [0.7395, 0.4863, 0.7425], [0.7442, 0.2558, 0.0000], [0.7526, 0.7526, 0.4843], [0.9983, 0.2669, 0.7518]]}

***

c) {"formula": "BaLa3Mn4O12", "functional": "PBE with a Hubbard U", "state": "relaxed", "spacegroup": "R-3c, No. 167", "rho_g_cm3": 6.42, "vol_a3_per_atom": 12.50, "lattice_angstrom": [[5.6319, 3.2516, 4.5492], [-5.6319, 3.2516, 4.5492], [0.0000, -6.5032, 4.5492]], "species": ["Ba", "Ba", "La", "La", "La", "La", "La", "La", "Mn", "Mn", "Mn", "Mn", "Mn", "Mn", "Mn", "Mn", "O", "O", "O", "O", "O", "O", "O", "O", "O", "O", "O", "O", "O", "O", "O", "O", "O", "O", "O", "O", "O", "O", "O", "O"], "fractional_positions": [[0.2500, 0.2500, 0.2500], [0.7500, 0.7500, 0.7500], [0.2458, 0.7500, 0.2542], [0.2500, 0.7458, 0.7542], [0.2542, 0.2458, 0.7500], [0.7458, 0.7542, 0.2500], [0.7500, 0.2542, 0.2458], [0.7542, 0.2500, 0.7458], [0.0000, 0.0000, 0.0000], [0.0000, 0.0000, 0.5000], [0.0000, 0.5000, 0.0000], [0.0000, 0.5000, 0.5000], [0.5000, 0.0000, 0.0000], [0.5000, 0.0000, 0.5000], [0.5000, 0.5000, 0.0000], [0.5000, 0.5000, 0.5000], [0.0129, 0.2500, 0.4871], [0.0215, 0.9647, 0.2491], [0.0271, 0.4729, 0.7500], [0.0353, 0.7509, 0.9785], [0.2491, 0.0215, 0.9647], [0.2500, 0.4871, 0.0129], [0.2500, 0.9729, 0.5271], [0.2509, 0.5353, 0.4785], [0.4647, 0.5215, 0.7491], [0.4729, 0.7500, 0.0271], [0.4785, 0.2509, 0.5353], [0.4871, 0.0129, 0.2500], [0.5129, 0.9871, 0.7500], [0.5215, 0.7491, 0.4647], [0.5271, 0.2500, 0.9729], [0.5353, 0.4785, 0.2509], [0.7491, 0.4647, 0.5215], [0.7500, 0.0271, 0.4729], [0.7500, 0.5129, 0.9871], [0.7509, 0.9785, 0.0353], [0.9647, 0.2491, 0.0215], [0.9729, 0.5271, 0.2500], [0.9785, 0.0353, 0.7509], [0.9871, 0.7500, 0.5129]]}

***

Stability ranking, top entry: c); the second entry is 0.010 eV/atom less favorable.

***

a) {"formula": "BaNaLaWO6", "functional": "PBE with a Hubbard U", "state": "relaxed", "spacegroup": "Pnnn, No. 48", "rho_g_cm3": 6.16, "vol_a3_per_atom": 15.60, "lattice_angstrom": [[8.5280, 0.0000, 0.0000], [0.0000, 8.5390, 0.0000], [0.0000, 0.0000, 8.5679]], "species": ["Ba", "Ba", "Ba", "Ba", "Na", "Na", "Na", "Na", "La", "La", "La", "La", "W", "W", "W", "W", "O", "O", "O", "O", "O", "O", "O", "O", "O", "O", "O", "O", "O", "O", "O", "O", "O", "O", "O", "O", "O", "O", "O", "O"], "fractional_positions": [[0.2500, 0.2500, 0.2500], [0.2500, 0.2500, 0.7500], [0.7500, 0.7500, 0.2500], [0.7500, 0.7500, 0.7500], [0.2500, 0.7500, 0.2500], [0.2500, 0.7500, 0.7500], [0.7500, 0.2500, 0.2500], [0.7500, 0.2500, 0.7500], [0.0000, 0.0000, 0.0000], [0.0000, 0.5000, 0.5000], [0.5000, 0.0000, 0.5000], [0.5000, 0.5000, 0.0000], [0.0000, 0.0000, 0.5000], [0.0000, 0.5000, 0.0000], [0.5000, 0.0000, 0.0000], [0.5000, 0.5000, 0.5000], [0.0366, 0.2255, 0.4777], [0.0366, 0.2745, 0.0223], [0.0404, 0.5307, 0.2233], [0.0404, 0.9693, 0.2767], [0.2235, 0.5252, 0.9549], [0.2235, 0.9748, 0.5451], [0.2765, 0.5252, 0.5451], [0.2765, 0.9748, 0.9549], [0.4596, 0.5307, 0.2767], [0.4596, 0.9693, 0.2233], [0.4634, 0.2255, 0.0223], [0.4634, 0.2745, 0.4777], [0.5366, 0.7255, 0.5223], [0.5366, 0.7745, 0.9777], [0.5404, 0.0307, 0.7767], [0.5404, 0.4693, 0.7233], [0.7235, 0.0252, 0.0451], [0.7235, 0.4748, 0.4549], [0.7765, 0.0252, 0.4549], [0.7765, 0.4748, 0.0451], [0.9596, 0.0307, 0.7233], [0.9596, 0.4693, 0.7767], [0.9634, 0.7255, 0.9777], [0.9634, 0.7745, 0.5223]]}

***

b) {"formula": "BaNaLaWO6", "functional": "PBE with a Hubbard U", "state": "relaxed", "spacegroup": "F-43m, No. 216", "rho_g_cm3": 5.95, "vol_a3_per_atom": 16.17, "lattice_angstrom": [[0.0000, 4.3237, 4.3237], [4.3237, 0.0000, 4.3237], [4.3237, 4.3237, 0.0000]], "species": ["Ba", "Na", "La", "W", "O", "O", "O", "O", "O", "O"], "fractional_positions": [[0.0000, 0.0000, 0.0000], [0.5000, 0.5000, 0.5000], [0.7500, 0.7500, 0.7500], [0.2500, 0.2500, 0.2500], [0.0238, 0.0238, 0.4762], [0.0238, 0.4762, 0.0238], [0.0238, 0.4762, 0.4762], [0.4762, 0.0238, 0.0238], [0.4762, 0.0238, 0.4762], [0.4762, 0.4762, 0.0238]]}

***

Stability ranking, top entry: a); the second entry is 0.021 eV/atom less favorable.

***

a) {"formula": "Ba2LiNi2O6", "functional": "PBE with a Hubbard U", "state": "relaxed", "spacegroup": "P3m1, No. 156", "rho_g_cm3": 5.64, "vol_a3_per_atom": 13.24, "lattice_angstrom": [[5.6836, 0.0000, 0.0000], [-2.8418, 4.9222, 0.0000], [0.0000, 0.0000, 5.2067]], "species": ["Ba", "Ba", "Li", "Ni", "Ni", "O", "O", "O", "O", "O", "O"], "fractional_positions": [[0.0000, 0.0000, 0.0000], [0.3333, 0.6667, 0.5065], [0.3333, 0.6667, 0.0054], [0.6667, 0.3333, 0.2275], [0.6667, 0.3333, 0.7249], [0.3671, 0.1835, 0.4766], [0.5136, 0.0271, 0.9751], [0.5136, 0.4864, 0.9751], [0.8165, 0.1835, 0.4766], [0.8165, 0.6329, 0.4766], [0.9729, 0.4864, 0.9751]]}

***

b) {"formula": "Ba2LiNi2O6", "functional": "PBE with a Hubbard U", "state": "relaxed", "spacegroup": "P3m1, No. 156", "rho_g_cm3": 3.92, "vol_a3_per_atom": 19.08, "lattice_angstrom": [[5.7753, 0.0000, 0.0000], [-2.8877, 5.0016, 0.0000], [0.0000, 0.0000, 7.2673]], "species": ["Ba", "Ba", "Li", "Ni", "Ni", "O", "O", "O", "O", "O", "O"], "fractional_positions": [[0.0000, 0.0000, 0.0000], [0.3333, 0.6667, 0.7618], [0.6667, 0.3333, 0.5654], [0.6667, 0.3333, 0.1959], [0.6667, 0.3333, 0.8746], [0.3670, 0.1835, 0.7219], [0.5135, 0.0270, 0.0504], [0.5135, 0.4865, 0.0504], [0.8165, 0.1835, 0.7219], [0.8165, 0.6330, 0.7219], [0.9730, 0.4865, 0.0504]]}

***

Stability ranking, top entry: a); the second entry is 0.237 eV/atom less favorable.